{"formula": "AsI3", "functional": "meta-GGA r2SCAN", "state": "optimized geometry", "delta_e_f_ev_per_atom": -0.210, "space_group": "R-3", "e_tot_ev_per_cell": -178.44, "lattice_angstrom": [[6.598, -0.032, 5.152], [2.496, 6.108, 5.151], [-0.048, -0.031, 8.371]], "species": ["As", "As", "I", "I", "I", "I", "I", "I"], "fractional_positions": [[0.190, 0.190, 0.190], [0.810, 0.810, 0.810], [0.436, 0.060, 0.757], [0.757, 0.436, 0.060], [0.060, 0.757, 0.436], [0.564, 0.940, 0.243], [0.243, 0.564, 0.940], [0.940, 0.243, 0.564]]}

---

{"formula": "Tb2CuPt", "functional": "meta-GGA r2SCAN", "state": "optimized geometry", "delta_e_f_ev_per_atom": -0.865, "space_group": "Pmc2_1", "e_tot_ev_per_cell": -256.50, "lattice_angstrom": [[-1.524, 2.632, 3.232], [-4.906, -2.492, -0.283], [2.135, -4.757, 4.880]], "species": ["Tb", "Tb", "Tb", "Tb", "Cu", "Cu", "Pt", "Pt"], "fractional_positions": [[0.000, 0.117, 0.684], [0.000, 0.883, 0.184], [0.500, 0.393, 0.316], [0.500, 0.607, 0.816], [0.500, 0.890, 0.463], [0.500, 0.110, 0.963], [0.000, 0.617, 0.537], [0.000, 0.383, 0.037]]}

---

{"formula": "Ho3AlC", "functional": "meta-GGA r2SCAN", "state": "optimized geometry", "delta_e_f_ev_per_atom": -0.551, "space_group": "Pm-3m", "e_tot_ev_per_cell": -118.08, "lattice_angstrom": [[-4.677, -1.198, 0.315], [1.234, -4.612, 0.784], [0.106, 0.838, 4.764]], "species": ["Ho", "Ho", "Ho", "Al", "C"], "fractional_positions": [[0.000, 0.500, 0.500], [0.500, 0.000, 0.500], [0.500, 0.500, 0.000], [0.000, 0.000, 0.000], [0.500, 0.500, 0.500]]}

---

{"formula": "Zr5Sn4", "functional": "meta-GGA r2SCAN", "state": "optimized geometry", "delta_e_f_ev_per_atom": -0.657, "space_group": "P6_3/mcm", "e_tot_ev_per_cell": -437.29, "lattice_angstrom": [[-6.220, -6.208, -0.838], [6.358, -0.911, 6.056], [-3.385, 2.853, 3.983]], "species": ["Zr", "Zr", "Zr", "Zr", "Zr", "Zr", "Zr", "Zr", "Zr", "Zr", "Sn", "Sn", "Sn", "Sn", "Sn", "Sn", "Sn", "Sn"], "fractional_positions": [[0.333, 0.667, 0.000], [0.667, 0.333, 0.500], [0.667, 0.333, 0.000], [0.333, 0.667, 0.500], [0.280, 0.000, 0.250], [0.280, 0.280, 0.750], [0.000, 0.720, 0.750], [0.000, 0.280, 0.250], [0.720, 0.720, 0.250], [0.720, 0.000, 0.750], [0.000, 0.000, 0.000], [0.000, 0.000, 0.500], [0.613, 0.000, 0.250], [0.613, 0.613, 0.750], [0.000, 0.387, 0.750], [0.000, 0.613, 0.250], [0.387, 0.387, 0.250], [0.387, 0.000, 0.750]]}

---

{"formula": "Hf3Cu4Ge2", "functional": "meta-GGA r2SCAN", "state": "optimized geometry", "delta_e_f_ev_per_atom": -0.475, "space_group": "P-62m", "e_tot_ev_per_cell": -210.86, "lattice_angstrom": [[6.324, 0.000, 0.000], [-3.162, 5.477, 0.000], [0.000, 0.000, 3.980]], "species": ["Hf", "Hf", "Hf", "Cu", "Cu", "Cu", "Cu", "Ge", "Ge"], "fractional_positions": [[0.000, 0.589, 0.500], [0.411, 0.411, 0.500], [0.589, 0.000, 0.500], [0.000, 0.000, 0.500], [0.239, 0.000, 0.000], [0.761, 0.761, 0.000], [0.000, 0.239, 0.000], [0.667, 0.333, 0.000], [0.333, 0.667, 0.000]]}

---

{"formula": "LuCo3B2", "functional": "meta-GGA r2SCAN", "state": "optimized geometry", "delta_e_f_ev_per_atom": -0.464, "space_group": "P6/mmm", "e_tot_ev_per_cell": -95.26, "lattice_angstrom": [[4.918, 0.000, 0.000], [-2.459, 4.259, 0.000], [0.000, 0.000, 2.968]], "species": ["Lu", "Co", "Co", "Co", "B", "B"], "fractional_positions": [[0.000, 0.000, 0.000], [0.500, 0.500, 0.500], [0.500, 0.000, 0.500], [0.000, 0.500, 0.500], [0.667, 0.333, 0.000], [0.333, 0.667, 0.000]]}

---

{"formula": "TaSn2", "functional": "meta-GGA r2SCAN", "state": "optimized geometry", "delta_e_f_ev_per_atom": 0.012, "space_group": "Fddd", "e_tot_ev_per_cell": -392.19, "lattice_angstrom": [[5.451, 0.000, 1.600], [2.726, 4.919, 0.800], [0.018, 0.000, 10.026]], "species": ["Ta", "Ta", "Ta", "Ta", "Sn", "Sn", "Sn", "Sn", "Sn", "Sn", "Sn", "Sn"], "fractional_positions": [[0.252, 0.750, 0.496], [0.002, 0.250, 0.996], [0.748, 0.250, 0.504], [0.998, 0.750, 0.004], [0.707, 0.586, 0.250], [0.957, 0.086, 0.750], [0.294, 0.250, 0.413], [0.043, 0.914, 0.250], [0.544, 0.750, 0.913], [0.456, 0.250, 0.087], [0.293, 0.414, 0.750], [0.706, 0.750, 0.587]]}

---

{"formula": "FeI2", "functional": "meta-GGA r2SCAN", "state": "optimized geometry", "delta_e_f_ev_per_atom": -0.278, "space_group": "P-3m1", "e_tot_ev_per_cell": -64.36, "lattice_angstrom": [[4.038, 0.000, 0.000], [-2.019, 3.497, 0.000], [0.000, 0.000, 7.041]], "species": ["Fe", "I", "I"], "fractional_positions": [[0.000, 0.000, 0.000], [0.333, 0.667, 0.227], [0.667, 0.333, 0.773]]}

---

{"formula": "NaSnSb", "functional": "meta-GGA r2SCAN", "state": "optimized geometry", "delta_e_f_ev_per_atom": -0.315, "space_group": "P6_3mc", "e_tot_ev_per_cell": -109.92, "lattice_angstrom": [[-1.070, -0.906, -4.093], [4.144, -0.141, 1.234], [-1.231, -11.357, 2.837]], "species": ["Na", "Na", "Sn", "Sn", "Sb", "Sb"], "fractional_positions": [[0.333, 0.667, 0.998], [0.667, 0.333, 0.498], [0.000, 0.000, 0.306], [0.000, 0.000, 0.806], [0.333, 0.667, 0.681], [0.667, 0.333, 0.181]]}

---

{"formula": "UCr6P4", "functional": "meta-GGA r2SCAN", "state": "optimized geometry", "delta_e_f_ev_per_atom": -0.477, "space_group": "Pmmn", "e_tot_ev_per_cell": -423.27, "lattice_angstrom": [[3.494, 0.000, 0.000], [0.000, 6.955, 0.000], [0.000, 0.000, 12.068]], "species": ["U", "U", "Cr", "Cr", "Cr", "Cr", "Cr", "Cr", "Cr", "Cr", "Cr", "Cr", "Cr", "Cr", "P", "P", "P", "P", "P", "P", "P", "P"], "fractional_positions": [[0.500, 0.000, 0.677], [0.000, 0.500, 0.323], [0.500, 0.807, 0.421], [0.000, 0.803, 0.089], [0.500, 0.303, 0.911], [0.000, 0.000, 0.881], [0.500, 0.193, 0.421], [0.000, 0.197, 0.089], [0.500, 0.500, 0.717], [0.000, 0.693, 0.579], [0.000, 0.307, 0.579], [0.000, 0.000, 0.283], [0.500, 0.697, 0.911], [0.500, 0.500, 0.119], [0.500, 0.000, 0.005], [0.500, 0.780, 0.226], [0.500, 0.220, 0.226], [0.000, 0.000, 0.488], [0.000, 0.500, 0.995], [0.500, 0.500, 0.512], [0.000, 0.720, 0.774], [0.000, 0.280, 0.774]]}

---

{"formula": "VTe2", "functional": "meta-GGA r2SCAN", "state": "optimized geometry", "delta_e_f_ev_per_atom": -0.443, "space_group": "C2/m", "e_tot_ev_per_cell": -66.25, "lattice_angstrom": [[3.661, -0.101, -0.020], [-1.914, 3.320, 0.001], [-0.034, -0.021, 6.859]], "species": ["V", "Te", "Te"], "fractional_positions": [[0.000, 0.000, 0.000], [0.667, 0.334, 0.755], [0.333, 0.666, 0.245]]}

---

{"formula": "InF3", "functional": "meta-GGA r2SCAN", "state": "optimized geometry", "delta_e_f_ev_per_atom": -2.763, "space_group": "R-3c", "e_tot_ev_per_cell": -86.02, "lattice_angstrom": [[0.557, 5.727, -0.049], [-0.128, 3.469, 4.590], [4.428, 3.004, 2.117]], "species": ["In", "In", "F", "F", "F", "F", "F", "F"], "fractional_positions": [[0.500, 0.500, 0.500], [0.000, 0.000, 0.000], [0.396, 0.750, 0.104], [0.750, 0.104, 0.396], [0.896, 0.604, 0.250], [0.250, 0.896, 0.604], [0.604, 0.250, 0.896], [0.104, 0.396, 0.750]]}

---

{"formula": "HfZrN2", "functional": "meta-GGA r2SCAN", "state": "optimized geometry", "delta_e_f_ev_per_atom": -1.991, "space_group": "R-3m", "e_tot_ev_per_cell": -94.12, "lattice_angstrom": [[5.357, -1.606, -0.008], [5.357, 1.606, -0.008], [4.880, 0.000, 2.733]], "species": ["Hf", "Zr", "N", "N"], "fractional_positions": [[0.000, 0.000, 0.000], [0.500, 0.500, 0.500], [0.255, 0.255, 0.255], [0.745, 0.745, 0.745]]}

---

{"formula": "MnGa", "functional": "meta-GGA r2SCAN", "state": "optimized geometry", "delta_e_f_ev_per_atom": -0.273, "space_group": "P4/mmm", "e_tot_ev_per_cell": -26.67, "lattice_angstrom": [[2.684, 0.000, 0.000], [0.000, 2.684, 0.000], [0.000, 0.000, 3.748]], "species": ["Mn", "Ga"], "fractional_positions": [[0.500, 0.500, 0.500], [0.000, 0.000, 0.000]]}

---

{"formula": "Sm2Te3", "functional": "meta-GGA r2SCAN", "state": "optimized geometry", "delta_e_f_ev_per_atom": -1.701, "space_group": "Pnma", "e_tot_ev_per_cell": -576.88, "lattice_angstrom": [[3.578, -2.294, 1.052], [-6.335, -6.157, 8.122], [-2.825, -8.302, -8.496]], "species": ["Sm", "Sm", "Sm", "Sm", "Sm", "Sm", "Sm", "Sm", "Te", "Te", "Te", "Te", "Te", "Te", "Te", "Te", "Te", "Te", "Te", "Te"], "fractional_positions": [[0.250, 0.188, 0.483], [0.250, 0.312, 0.983], [0.750, 0.812, 0.517], [0.750, 0.688, 0.016], [0.750, 0.502, 0.696], [0.750, 0.998, 0.196], [0.250, 0.498, 0.304], [0.250, 0.002, 0.804], [0.250, 0.624, 0.543], [0.250, 0.876, 0.043], [0.750, 0.376, 0.457], [0.750, 0.124, 0.957], [0.750, 0.056, 0.618], [0.750, 0.444, 0.118], [0.250, 0.944, 0.382], [0.250, 0.556, 0.882], [0.250, 0.304, 0.725], [0.250, 0.196, 0.225], [0.750, 0.696, 0.275], [0.750, 0.804, 0.775]]}

---

{"formula": "Na2BeO2", "functional": "meta-GGA r2SCAN", "state": "optimized geometry", "delta_e_f_ev_per_atom": -2.103, "space_group": "P2_1/c", "e_tot_ev_per_cell": -271.40, "lattice_angstrom": [[-2.495, -1.298, 4.462], [-1.424, -7.128, -2.870], [8.573, -9.228, 2.110]], "species": ["Na", "Na", "Na", "Na", "Na", "Na", "Na", "Na", "Na", "Na", "Na", "Na", "Na", "Na", "Na", "Na", "Be", "Be", "Be", "Be", "Be", "Be", "Be", "Be", "O", "O", "O", "O", "O", "O", "O", "O", "O", "O", "O", "O", "O", "O", "O", "O"], "fractional_positions": [[0.444, 0.925, 0.625], [0.944, 0.075, 0.875], [0.169, 0.354, 0.967], [0.669, 0.646, 0.533], [0.331, 0.354, 0.467], [0.831, 0.646, 0.033], [0.385, 0.579, 0.168], [0.885, 0.421, 0.332], [0.115, 0.579, 0.668], [0.615, 0.421, 0.832], [0.556, 0.075, 0.375], [0.056, 0.925, 0.125], [0.940, 0.825, 0.764], [0.440, 0.175, 0.736], [0.060, 0.175, 0.236], [0.560, 0.825, 0.264], [0.378, 0.739, 0.877], [0.878, 0.261, 0.623], [0.122, 0.739, 0.377], [0.622, 0.261, 0.123], [0.457, 0.909, 0.961], [0.957, 0.091, 0.539], [0.543, 0.091, 0.039], [0.043, 0.909, 0.461], [0.776, 0.248, 0.021], [0.276, 0.752, 0.479], [0.724, 0.248, 0.521], [0.224, 0.752, 0.979], [0.113, 0.127, 0.642], [0.613, 0.873, 0.858], [0.387, 0.127, 0.142], [0.887, 0.873, 0.358], [0.303, 0.637, 0.805], [0.803, 0.363, 0.695], [0.697, 0.363, 0.195], [0.197, 0.637, 0.305], [0.135, 0.131, 0.423], [0.635, 0.869, 0.077], [0.865, 0.869, 0.577], [0.365, 0.131, 0.923]]}

---

{"formula": "Zr3Co", "functional": "meta-GGA r2SCAN", "state": "optimized geometry", "delta_e_f_ev_per_atom": -0.148, "space_group": "Cmcm", "e_tot_ev_per_cell": -164.15, "lattice_angstrom": [[3.244, 0.000, 0.000], [-1.622, 5.368, 0.000], [0.000, 0.000, 9.086]], "species": ["Zr", "Zr", "Zr", "Zr", "Zr", "Zr", "Co", "Co"], "fractional_positions": [[0.415, 0.829, 0.750], [0.585, 0.171, 0.250], [0.135, 0.269, 0.942], [0.865, 0.731, 0.058], [0.865, 0.731, 0.442], [0.135, 0.269, 0.558], [0.724, 0.448, 0.750], [0.276, 0.552, 0.250]]}

---

{"formula": "RbMo3Br7", "functional": "meta-GGA r2SCAN", "state": "optimized geometry", "delta_e_f_ev_per_atom": -1.035, "space_group": "Cc", "e_tot_ev_per_cell": -785.38, "lattice_angstrom": [[7.888, 10.301, -0.189], [-7.888, 10.301, -0.189], [0.000, 4.473, 8.799]], "species": ["Rb", "Rb", "Rb", "Rb", "Mo", "Mo", "Mo", "Mo", "Mo", "Mo", "Mo", "Mo", "Mo", "Mo", "Mo", "Mo", "Br", "Br", "Br", "Br", "Br", "Br", "Br", "Br", "Br", "Br", "Br", "Br", "Br", "Br", "Br", "Br", "Br", "Br", "Br", "Br", "Br", "Br", "Br", "Br", "Br", "Br", "Br", "Br"], "fractional_positions": [[0.566, 0.434, 0.249], [0.958, 0.044, 0.492], [0.434, 0.566, 0.749], [0.044, 0.958, 0.992], [0.347, 0.045, 0.055], [0.513, 0.067, 0.132], [0.133, 0.516, 0.347], [0.484, 0.868, 0.154], [0.045, 0.347, 0.555], [0.067, 0.513, 0.632], [0.934, 0.486, 0.369], [0.956, 0.652, 0.446], [0.516, 0.133, 0.847], [0.868, 0.484, 0.654], [0.486, 0.934, 0.869], [0.652, 0.956, 0.946], [0.129, 0.110, 0.133], [0.377, 0.244, 0.032], [0.022, 0.655, 0.160], [0.322, 0.538, 0.131], [0.111, 0.351, 0.271], [0.317, 0.847, 0.076], [0.531, 0.161, 0.315], [0.840, 0.467, 0.186], [0.110, 0.129, 0.633], [0.153, 0.683, 0.425], [0.244, 0.377, 0.532], [0.649, 0.890, 0.229], [0.462, 0.678, 0.368], [0.344, 0.979, 0.339], [0.655, 0.022, 0.660], [0.538, 0.322, 0.631], [0.351, 0.111, 0.771], [0.757, 0.623, 0.469], [0.847, 0.317, 0.576], [0.892, 0.871, 0.363], [0.161, 0.531, 0.815], [0.467, 0.840, 0.686], [0.683, 0.153, 0.925], [0.890, 0.649, 0.729], [0.678, 0.462, 0.868], [0.979, 0.344, 0.839], [0.623, 0.757, 0.969], [0.871, 0.892, 0.863]]}

---

{"formula": "RbNa2Ge17", "functional": "meta-GGA r2SCAN", "state": "optimized geometry", "delta_e_f_ev_per_atom": -0.064, "space_group": "Fd-3m", "e_tot_ev_per_cell": -516.33, "lattice_angstrom": [[0.000, 7.768, 7.768], [7.768, 0.000, 7.768], [7.768, 7.768, 0.000]], "species": ["Rb", "Rb", "Na", "Na", "Na", "Na", "Ge", "Ge", "Ge", "Ge", "Ge", "Ge", "Ge", "Ge", "Ge", "Ge", "Ge", "Ge", "Ge", "Ge", "Ge", "Ge", "Ge", "Ge", "Ge", "Ge", "Ge", "Ge", "Ge", "Ge", "Ge", "Ge", "Ge", "Ge", "Ge", "Ge", "Ge", "Ge", "Ge", "Ge"], "fractional_positions": [[0.250, 0.250, 0.250], [0.000, 0.000, 0.000], [0.125, 0.625, 0.625], [0.625, 0.625, 0.125], [0.625, 0.125, 0.625], [0.625, 0.625, 0.625], [0.390, 0.996, 0.619], [0.390, 0.996, 0.996], [0.619, 0.996, 0.996], [0.860, 0.631, 0.254], [0.254, 0.631, 0.254], [0.631, 0.254, 0.860], [0.254, 0.254, 0.860], [0.631, 0.860, 0.254], [0.860, 0.254, 0.631], [0.254, 0.254, 0.631], [0.254, 0.860, 0.254], [0.619, 0.996, 0.390], [0.996, 0.996, 0.390], [0.996, 0.390, 0.619], [0.996, 0.619, 0.390], [0.390, 0.619, 0.996], [0.996, 0.619, 0.996], [0.860, 0.254, 0.254], [0.631, 0.254, 0.254], [0.254, 0.860, 0.631], [0.407, 0.779, 0.407], [0.843, 0.843, 0.471], [0.471, 0.843, 0.843], [0.843, 0.843, 0.843], [0.779, 0.407, 0.407], [0.407, 0.407, 0.407], [0.407, 0.407, 0.779], [0.843, 0.471, 0.843], [0.500, 0.500, 0.500], [0.750, 0.750, 0.750], [0.619, 0.390, 0.996], [0.996, 0.996, 0.619], [0.254, 0.631, 0.860], [0.996, 0.390, 0.996]]}